# 1
Density functional theory data (PBE) for a geometry-optimized BaMgCu3O4 structure.

**Energy above the most stable polymorph in this dataset**: 0 meV per atom
**Size of the total moment**: 0.6 μB/f.u.
**SG**: P2/m
**Density**: 5.00 Mg/m³
**Uncorrected energy**: -47.36 eV/f.u.

Cell lengths 3.222, 7.305, 6.735 Å; angles 119.39, 90.00, 90.00 degrees
Element x y z (fractional)
Cu 0.000 0.500 0.000
Cu 0.000 0.213 0.592
O 0.000 0.216 0.863
O 0.000 0.714 0.634
O 0.000 0.784 0.137
Mg 0.500 0.500 0.500
Ba 0.500 0.000 0.000
Cu 0.000 0.787 0.408
O 0.000 0.286 0.366

***

# 2
Density functional theory data (PBE) for a geometry-optimized Sm3SbO7 structure.

**Size of the total moment**: 0.0 μB/f.u.
**SG**: C222_1
**Density**: 7.17 Mg/m³
**Uncorrected energy**: -84.98 eV/f.u.

Cell lengths 6.619, 6.619, 7.679 Å; angles 90.00, 90.00, 109.54 degrees
Element x y z (fractional)
O 0.371 0.629 0.750
Sm 0.999 0.532 0.251
O 0.316 0.071 0.971
O 0.636 0.364 0.750
Sm 0.506 0.506 0.500
O 0.318 0.070 0.527
O 0.071 0.316 0.029
Sm 0.468 0.001 0.249
O 0.364 0.636 0.250
O 0.682 0.930 0.027
O 0.070 0.318 0.473
O 0.935 0.065 0.750
O 0.930 0.682 0.973
Sm 0.532 0.999 0.749
Sb 0.002 0.002 0.500
Sb 0.998 0.998 0.000
O 0.684 0.929 0.471
O 0.065 0.935 0.250
O 0.629 0.371 0.250
O 0.929 0.684 0.529
Sm 0.001 0.468 0.751
Sm 0.494 0.494 0.000

***

# 3
Density functional theory data (PBE) for a geometry-optimized K2PH4O5 structure.

**Size of the total moment**: 0.0 μB/f.u.
**SG**: Cc
**Density**: 2.11 Mg/m³
**Uncorrected energy**: -65.15 eV/f.u.

Cell lengths 7.459, 7.459, 11.905 Å; angles 91.57, 91.57, 113.00 degrees
Element x y z (fractional)
O 0.073 0.621 0.670
O 0.860 0.176 0.373
P 0.773 0.736 0.971
O 0.176 0.860 0.873
O 0.104 0.290 0.093
O 0.621 0.073 0.170
O 0.415 0.317 0.328
O 0.317 0.415 0.828
H 0.314 0.825 0.397
O 0.793 0.155 0.587
O 0.812 0.950 0.015
K 0.066 0.005 0.257
P 0.736 0.773 0.471
O 0.155 0.793 0.087
H 0.086 0.382 0.038
O 0.185 0.720 0.373
O 0.720 0.185 0.873
O 0.290 0.104 0.593
H 0.686 0.088 0.246
P 0.065 0.726 0.967
H 0.023 0.695 0.618
H 0.382 0.086 0.538
H 0.746 0.092 0.923
H 0.825 0.314 0.897
O 0.510 0.036 0.439
H 0.225 0.463 0.865
H 0.006 0.162 0.063
H 0.463 0.225 0.365
K 0.190 0.414 0.512
K 0.005 0.066 0.757
H 0.519 0.449 0.345
H 0.162 0.006 0.563
K 0.412 0.662 0.187
O 0.656 0.583 0.053
O 0.583 0.656 0.553
K 0.863 0.479 0.220
K 0.662 0.412 0.687
P 0.726 0.065 0.467
H 0.092 0.746 0.423
O 0.036 0.510 0.939
O 0.685 0.702 0.850
O 0.702 0.685 0.350
H 0.088 0.686 0.746
O 0.950 0.812 0.515
H 0.695 0.023 0.118
K 0.414 0.190 0.012
H 0.449 0.519 0.845
K 0.479 0.863 0.720